No. 1
Entry from the Materials Project: an optimized crystal structure of ZrRh (GGA-PBE).

* energy relative to the elements: -1.50 eV per formula unit
* DFT total energy: -8.707 eV per atom
* symmetry: No. 221

Cell lengths 3.308, 3.308, 3.308 Å; angles 90.00, 90.00, 90.00 degrees
Atoms (fractional coordinates):
Zr: 0.500 0.500 0.500
Rh: 0.000 0.000 0.000



No. 2
Entry from the Materials Project: an optimized crystal structure of ZrRh (GGA-PBE).

* energy relative to the elements: -1.49 eV per formula unit
* DFT total energy: -8.702 eV per atom
* symmetry: No. 51

Cell lengths 3.161, 4.771, 4.782 Å; angles 90.00, 90.00, 90.00 degrees
Atoms (fractional coordinates):
Zr: 0.500 0.750 0.246
Zr: 0.500 0.250 0.754
Rh: 0.000 0.250 0.260
Rh: 0.000 0.750 0.740



No. 3
Entry from the Materials Project: an optimized crystal structure of ZrRh (GGA-PBE).

* energy relative to the elements: -1.49 eV per formula unit
* DFT total energy: -8.701 eV per atom
* symmetry: No. 123

Cell lengths 3.384, 3.384, 3.146 Å; angles 90.00, 90.00, 90.00 degrees
Atoms (fractional coordinates):
Zr: 0.500 0.500 0.500
Rh: 0.000 0.000 0.000



No. 4
Entry from the Materials Project: an optimized crystal structure of ZrRh (GGA-PBE).

* energy relative to the elements: -1.59 eV per formula unit
* DFT total energy: -8.752 eV per atom
* symmetry: No. 63

Cell lengths 10.044, 10.044, 4.410 Å; angles 90.00, 90.00, 160.59 degrees
Atoms (fractional coordinates):
Zr: 0.438 0.562 0.750
Zr: 0.305 0.695 0.250
Zr: 0.695 0.305 0.750
Zr: 0.562 0.438 0.250
Rh: 0.057 0.943 0.750
Rh: 0.943 0.057 0.250
Rh: 0.169 0.831 0.250
Rh: 0.831 0.169 0.750